Record 1
A relaxed structure of Sb2AuXe2F12, computed with PBE-GGA.

Properties
**ΔE_f**: -2.06 eV per atom
**Mass density**: 4.49 g/cm3

a = 5.6773 Å, b = 7.4376 Å, c = 8.2347 Å
α = 91.03°, β = 91.14°, γ = 98.07°
Space group P-1 (No. 2)
Asymmetric unit:
Sb1 0.0199 0.2765 0.2580 x2
Au1 0.5000 0.0000 0.0000 x1
Xe1 0.4782 0.2250 0.7367 x2
F1 0.0579 0.4981 0.8173 x2
F2 0.0865 0.0402 0.3112 x2
F3 0.1532 0.8432 0.9436 x2
F4 0.1946 0.3878 0.4418 x2
F5 0.2762 0.7695 0.6349 x2
F6 0.2962 0.3025 0.1248 x2

***

Record 2
A relaxed structure of Sm2Au5F21, computed with PBE-GGA.

Properties
**ΔE_f**: -2.22 eV per atom
**Mass density**: 6.07 g/cm3

a = 8.3839 Å, b = 8.3839 Å, c = 26.2239 Å
α = 90.00°, β = 90.00°, γ = 90.00°
Space group P4_12_12 (No. 92)
Asymmetric unit:
Sm1 0.0558 0.4295 0.4984 x8
Au1 0.0610 0.0610 0.0000 x4
Au2 0.0937 0.1443 0.8420 x8
Au3 0.1776 0.2114 0.6395 x8
F1 0.0246 0.8630 0.6091 x8
F2 0.0406 0.3139 0.7926 x8
F3 0.0484 0.3303 0.6898 x8
F4 0.0608 0.2949 0.9984 x8
F5 0.0644 0.8258 0.9994 x8
F6 0.0668 0.3263 0.5848 x8
F7 0.0871 0.2997 0.4108 x8
F8 0.0879 0.2869 0.1982 x8
F9 0.0938 0.2791 0.3038 x8
F10 0.0970 0.8066 0.3802 x8
F11 0.2216 0.7784 0.7500 x4

***

Look up the mass density of the first one.
4.49 g/cm3